# 1
## HfFeO3 (GGA+U)

Data for an optimized crystal structure of HfFeO3.

Unit cell a=5.428 b=5.512 c=7.875 alpha=90.00 beta=90.00 gamma=90.00
Element x y z (fractional)
Fe1 0.509 0.963 0.750
Fe2 0.009 0.537 0.250
O1 0.382 0.422 0.250
O2 0.830 0.325 0.435
O3 0.170 0.675 0.935
O4 0.330 0.175 0.935
Hf1 0.000 0.000 0.500
Hf2 0.500 0.500 0.000
O5 0.670 0.825 0.065
O6 0.330 0.175 0.565
O7 0.882 0.078 0.750
O8 0.170 0.675 0.565
Fe3 0.991 0.463 0.750
Hf3 0.500 0.500 0.500
O9 0.618 0.578 0.750
O10 0.118 0.922 0.250
Fe4 0.491 0.037 0.250
O11 0.670 0.825 0.435
O12 0.830 0.325 0.065
Hf4 0.000 0.000 0.000

# 2
## Li2Cr2S3O12 (GGA+U)

Data for an optimized crystal structure of Li2Cr2S3O12.

Unit cell a=8.118 b=8.118 c=9.274 alpha=65.46 beta=65.46 gamma=64.50
Element x y z (fractional)
O1 0.560 0.874 0.646
O2 0.042 0.135 0.115
O3 0.337 0.600 0.622
O4 0.126 0.440 0.854
Li1 0.673 0.863 0.050
S1 0.946 0.054 0.750
O5 0.090 0.795 0.184
O6 0.795 0.090 0.684
Li2 0.327 0.137 0.950
O7 0.663 0.400 0.378
O8 0.260 0.389 0.185
O9 0.503 0.870 0.931
O10 0.958 0.865 0.885
O11 0.135 0.042 0.615
S2 0.245 0.455 0.676
O12 0.497 0.130 0.069
O13 0.740 0.611 0.815
O14 0.874 0.560 0.146
Li3 0.137 0.327 0.450
O15 0.870 0.503 0.431
Cr1 0.633 0.132 0.520
S3 0.545 0.755 0.824
S4 0.054 0.946 0.250
O16 0.611 0.740 0.315
O17 0.865 0.958 0.385
O18 0.910 0.205 0.816
O19 0.389 0.260 0.685
O20 0.440 0.126 0.354
O21 0.205 0.910 0.316
O22 0.400 0.663 0.878
Cr2 0.132 0.633 0.020
Cr3 0.367 0.868 0.480
S5 0.755 0.545 0.324
Li4 0.863 0.673 0.550
S6 0.455 0.245 0.176
Cr4 0.868 0.367 0.980
O23 0.600 0.337 0.122
O24 0.130 0.497 0.569

E above lowest polymorph	0.06	eV/f.u.

# 3
## Li4Cr3NiO8 (GGA+U)

Data for an optimized crystal structure of Li4Cr3NiO8.

Unit cell a=5.118 b=7.786 c=7.795 alpha=81.97 beta=83.78 gamma=71.11
Element x y z (fractional)
O1 0.732 0.654 0.039
Li1 0.000 0.937 0.691
O2 0.277 0.588 0.218
Cr1 0.500 0.626 0.626
Cr2 0.500 0.374 0.374
O3 0.723 0.162 0.533
Li2 0.997 0.564 0.815
Li3 0.999 0.689 0.436
Cr3 0.500 0.500 0.000
Cr4 0.500 0.000 0.500
Cr5 0.502 0.753 0.246
Li4 0.001 0.311 0.564
Ni1 0.500 0.125 0.125
Li5 0.003 0.436 0.185
Ni2 0.500 0.875 0.875
O4 0.726 0.291 0.156
O5 0.277 0.838 0.467
O6 0.720 0.538 0.407
O7 0.268 0.346 0.961
Li6 0.995 0.815 0.060
O8 0.726 0.040 0.903
O9 0.723 0.412 0.782
O10 0.273 0.212 0.348
O11 0.280 0.462 0.593
Li7 0.005 0.185 0.940
Cr6 0.498 0.247 0.754
O12 0.274 0.960 0.097
O13 0.733 0.903 0.288
O14 0.274 0.709 0.844
O15 0.727 0.788 0.652
O16 0.267 0.097 0.712
Li8 0.000 0.063 0.309

E above lowest polymorph	0.13	eV/f.u.

# 4
## VO2F (GGA+U)

Data for an optimized crystal structure of VO2F.

Unit cell a=5.162 b=5.240 c=9.094 alpha=75.95 beta=75.50 gamma=61.37
Element x y z (fractional)
V1 0.016 0.040 0.992
V2 0.453 0.554 0.495
O1 0.456 0.853 0.382
O2 0.124 0.693 0.624
V3 0.747 0.810 0.739
F1 0.377 0.784 0.873
F2 0.630 0.183 0.127
O3 0.555 0.112 0.627
O4 0.199 0.039 0.129
O5 0.960 0.354 0.882
O6 0.806 0.935 0.878
O7 0.313 0.430 0.373
V4 0.220 0.296 0.243
O8 0.056 0.601 0.129
F3 0.708 0.530 0.629
F4 0.879 0.286 0.377

# 5
## K2LiFeO3 (GGA+U)

Data for an optimized crystal structure of K2LiFeO3.

Unit cell a=6.074 b=9.047 c=9.047 alpha=85.53 beta=109.62 gamma=70.38
Element x y z (fractional)
O1 0.100 0.485 0.185
Li1 0.250 0.000 0.500
O2 0.000 0.500 0.500
O3 0.400 0.685 0.985
K1 0.750 0.750 0.250
Li2 0.250 0.500 0.000
K2 0.750 0.250 0.750
K3 0.250 0.250 0.750
Fe1 0.250 0.411 0.411
K4 0.750 0.330 0.330
Li3 0.750 0.500 0.000
Li4 0.750 0.000 0.500
Fe2 0.250 0.911 0.911
O4 0.900 0.515 0.815
O5 0.500 0.500 0.500
K5 0.750 0.830 0.830
O6 0.900 0.015 0.315
O7 0.600 0.815 0.515
O8 0.100 0.985 0.685
K6 0.250 0.670 0.670
Fe3 0.750 0.089 0.089
O9 0.600 0.315 0.015
O10 0.500 0.000 0.000
O11 0.400 0.185 0.485
O12 0.000 0.000 0.000
K7 0.250 0.170 0.170
K8 0.250 0.750 0.250
Fe4 0.750 0.589 0.589

# 6
## K4WS3O14 (GGA+U)

Data for an optimized crystal structure of K4WS3O14.

Unit cell a=14.283 b=9.660 c=14.088 alpha=47.94 beta=90.00 gamma=90.00
Element x y z (fractional)
O1 0.607 0.911 0.577
O2 0.493 0.139 0.096
O3 0.696 0.460 0.556
S1 0.656 0.021 0.453
O4 0.081 0.841 0.627
O5 0.846 0.224 0.882
O6 0.736 0.672 0.840
O7 0.419 0.841 0.127
W1 0.622 0.917 0.916
O8 0.414 0.213 0.882
K1 0.005 0.694 0.300
S2 0.344 0.979 0.547
S3 0.281 0.455 0.022
O9 0.107 0.089 0.923
O10 0.196 0.540 0.944
K2 0.780 0.523 0.229
O11 0.507 0.861 0.904
O12 0.880 0.983 0.874
O13 0.976 0.699 0.811
S4 0.719 0.545 0.978
S5 0.503 0.707 0.206
O14 0.086 0.213 0.382
O15 0.821 0.667 0.508
O16 0.356 0.590 0.981
O17 0.740 0.960 0.986
S6 0.156 0.979 0.047
K3 0.995 0.306 0.700
K4 0.174 0.987 0.335
O18 0.856 0.410 0.519
O19 0.260 0.040 0.014
O20 0.993 0.861 0.404
K5 0.505 0.306 0.200
O21 0.760 0.960 0.486
K6 0.220 0.477 0.771
O22 0.240 0.040 0.514
O23 0.834 0.027 0.264
O24 0.644 0.410 0.019
O25 0.476 0.301 0.689
O26 0.334 0.973 0.236
O27 0.654 0.224 0.382
O28 0.321 0.333 0.992
O29 0.919 0.159 0.373
O30 0.026 0.528 0.749
K7 0.495 0.694 0.800
S7 0.497 0.293 0.794
K8 0.326 0.987 0.835
O31 0.166 0.973 0.736
O32 0.679 0.667 0.008
W2 0.378 0.083 0.084
K9 0.959 0.266 0.025
W3 0.878 0.917 0.416
K10 0.541 0.266 0.525
O33 0.914 0.787 0.618
O34 0.144 0.590 0.481
O35 0.474 0.528 0.249
K11 0.041 0.734 0.975
K12 0.674 0.013 0.165
O36 0.154 0.776 0.118
O37 0.007 0.139 0.596
O38 0.024 0.301 0.189
O39 0.804 0.460 0.056
O40 0.764 0.672 0.340
O41 0.236 0.328 0.660
O42 0.380 0.017 0.626
S8 0.997 0.707 0.706
K13 0.826 0.013 0.665
K14 0.720 0.523 0.729
W4 0.122 0.083 0.584
O43 0.524 0.699 0.311
O44 0.666 0.027 0.764
O45 0.304 0.540 0.444
O46 0.179 0.333 0.492
O47 0.526 0.472 0.751
S9 0.219 0.455 0.522
O48 0.586 0.787 0.118
S10 0.844 0.021 0.953
S11 0.003 0.293 0.294
O49 0.346 0.776 0.618
O50 0.264 0.328 0.160
O51 0.393 0.089 0.423
O52 0.974 0.472 0.251
K15 0.280 0.477 0.271
O53 0.120 0.017 0.126
O54 0.581 0.159 0.873
O55 0.893 0.911 0.077
S12 0.781 0.545 0.478
O56 0.620 0.983 0.374
K16 0.459 0.734 0.475

# 7
## Li4Mn2P3O12 (GGA+U)

Data for an optimized crystal structure of Li4Mn2P3O12.

Unit cell a=8.583 b=8.703 c=8.873 alpha=89.69 beta=118.32 gamma=118.85
Element x y z (fractional)
O1 0.879 0.258 0.743
Li1 0.559 0.271 0.172
P1 0.698 0.932 0.249
O2 0.146 0.600 0.929
O3 0.550 0.571 0.756
Mn1 0.796 0.644 0.457
Li2 0.441 0.729 0.828
P2 0.002 0.460 0.743
Mn2 0.780 0.137 0.935
O4 0.227 0.206 0.713
O5 0.624 0.880 0.731
O6 0.931 0.827 0.896
O7 0.180 0.513 0.386
O8 0.152 0.488 0.679
O9 0.358 0.062 0.943
O10 0.688 0.734 0.558
P3 0.302 0.068 0.751
Li3 0.564 0.222 0.556
O11 0.506 0.155 0.745
O12 0.854 0.400 0.071
P4 0.998 0.540 0.257
O13 0.494 0.845 0.255
O14 0.069 0.173 0.104
O15 0.450 0.429 0.244
O16 0.820 0.487 0.614
Li4 0.647 0.420 0.867
Li5 0.353 0.580 0.133
Li6 0.436 0.778 0.444
Li7 0.932 0.105 0.644
O17 0.121 0.742 0.257
O18 0.133 0.881 0.608
Mn3 0.204 0.356 0.543
O19 0.642 0.938 0.057
Mn4 0.220 0.863 0.065
P5 0.292 0.247 0.256
O20 0.312 0.266 0.442
P6 0.708 0.753 0.744
Li8 0.068 0.895 0.356
O21 0.773 0.794 0.287
O22 0.376 0.120 0.269
O23 0.867 0.119 0.392
O24 0.848 0.512 0.321

E above lowest polymorph	0.29	eV/f.u.

# 8
## LiCo2OF3 (GGA+U)

Data for an optimized crystal structure of LiCo2OF3.

Unit cell a=5.985 b=6.221 c=8.717 alpha=90.00 beta=90.00 gamma=90.00
Element x y z (fractional)
F1 0.990 0.983 0.245
F2 0.250 0.756 0.973
Co1 0.250 0.767 0.733
O1 0.750 0.705 0.009
Co2 0.500 0.000 0.500
F3 0.750 0.244 0.027
Co3 0.500 0.500 0.000
Li1 0.250 0.023 0.106
Li2 0.750 0.977 0.894
O2 0.250 0.295 0.991
F4 0.250 0.256 0.527
F5 0.750 0.744 0.473
Co4 0.000 0.000 0.500
Li3 0.250 0.523 0.394
Co5 0.750 0.733 0.233
F6 0.510 0.983 0.245
Li4 0.750 0.477 0.606
Co6 0.250 0.267 0.767
F7 0.990 0.483 0.255
F8 0.510 0.483 0.255
Co7 0.000 0.500 0.000
F9 0.010 0.517 0.745
O3 0.750 0.205 0.491
F10 0.490 0.517 0.745
F11 0.490 0.017 0.755
F12 0.010 0.017 0.755
Co8 0.750 0.233 0.267
O4 0.250 0.795 0.509

E above lowest polymorph	0.16	eV/f.u.

# 9
## K2MgFeSi8O24 (GGA+U)

Data for an optimized crystal structure of K2MgFeSi8O24.

Unit cell a=5.248 b=9.104 c=10.965 alpha=100.30 beta=97.49 gamma=89.90
Element x y z (fractional)
O1 0.305 0.775 0.657
O2 0.537 0.034 0.663
K1 0.760 0.745 0.503
O3 0.714 0.214 0.334
Si1 0.214 0.531 0.275
O4 0.710 0.780 0.888
O5 0.799 0.275 0.655
O6 0.195 0.294 0.870
O7 0.168 0.500 0.124
O8 0.839 0.164 0.874
O9 0.035 0.018 0.665
O10 0.214 0.712 0.335
O11 0.339 0.663 0.877
O12 0.843 0.476 0.874
O13 0.495 0.473 0.332
Si2 0.809 0.454 0.724
Si3 0.209 0.869 0.280
O14 0.147 0.254 0.134
O15 0.536 0.521 0.666
Si4 0.723 0.367 0.273
O16 0.705 0.339 0.123
O17 0.992 0.459 0.343
O18 0.652 0.996 0.129
Mg1 0.407 0.857 0.002
Fe1 0.944 0.350 0.999
O19 0.784 0.768 0.091
O20 0.482 0.959 0.346
O21 0.037 0.535 0.667
Si5 0.311 0.626 0.726
Si6 0.312 0.955 0.724
Si7 0.706 0.033 0.279
O22 0.353 0.980 0.873
O23 0.980 0.970 0.342
O24 0.180 0.845 0.130
Si8 0.810 0.126 0.722
K2 0.260 0.248 0.502

# 10
## MgCo2Mo2O8 (GGA+U)

Data for an optimized crystal structure of MgCo2Mo2O8.

Unit cell a=5.257 b=5.643 c=5.801 alpha=93.50 beta=107.60 gamma=86.22
Element x y z (fractional)
O1 0.678 0.771 0.573
O2 0.182 0.528 0.189
Mg1 0.427 0.952 0.745
Mo1 0.990 0.679 0.866
Co1 0.490 0.455 0.509
O3 0.211 0.011 0.983
O4 0.796 0.384 0.833
O5 0.733 0.283 0.308
Co2 0.555 0.954 0.276
O6 0.243 0.631 0.711
Mo2 0.991 0.231 0.158
O7 0.769 0.903 0.039
O8 0.296 0.142 0.453

E above lowest polymorph	0.00	eV/f.u.

Calculated formation energy / eV/atom: -2.942 -2.084 -2.177 -2.437 -1.753 -2.176 -2.584 -2.195 -2.394 -1.891